TbCrO4 | the Materials Project | PBE with a Hubbard U | optimized geometry; SG = I4_1/amd, No. 141; MP2020-corrected energy = -8.46 eV/atom; DFT total energy = -7.667 eV/atom
1.0
3.6218 3.6218 3.1548
-3.6218 -3.6218 3.1548
3.6218 -3.6218 -3.1548
O Cr Tb
8 2 2
direct
0.6075 0.9239 0.6836 O
0.6739 0.4903 0.8164 O
0.0761 0.3925 0.3164 O
0.0761 0.7597 0.6836 O
0.5097 0.3261 0.1836 O
0.2403 0.9239 0.3164 O
0.1425 0.3261 0.8164 O
0.6739 0.8575 0.1836 O
0.5000 0.5000 0.0000 Cr
0.2500 0.7500 0.5000 Cr
0.0000 0.0000 0.0000 Tb
0.7500 0.2500 0.5000 Tb